VASP calculation (r²SCAN) on a geometry-optimized Mn2Tl2O7 structure.

Cell and atoms, written as POSCAR:
```
Mn2Tl2O7
1.0
-5.402 -3.463 2.817
-6.400 2.854 -0.048
-4.993 -2.663 -4.133
O Mn Tl
14 4 4
Direct
0.301 0.699 0.301 O
0.551 0.551 0.949 O
0.699 0.699 0.301 O
0.250 0.250 0.250 O
0.699 0.301 0.301 O
0.949 0.551 0.949 O
0.551 0.949 0.949 O
0.301 0.699 0.699 O
0.551 0.949 0.551 O
0.949 0.949 0.551 O
0.301 0.301 0.699 O
0.949 0.551 0.551 O
0.699 0.301 0.699 O
0.000 0.000 0.000 O
0.125 0.625 0.625 Mn
0.625 0.625 0.125 Mn
0.625 0.125 0.625 Mn
0.625 0.625 0.625 Mn
0.625 0.125 0.125 Tl
0.125 0.125 0.625 Tl
0.125 0.125 0.125 Tl
0.125 0.625 0.125 Tl
```

Computed properties:
Its space group is Fd-3m (227).


VASP calculation (r²SCAN) on a geometry-optimized La2Zn5Sn structure.

Cell and atoms, written as POSCAR:
```
La2Zn5Sn
1.0
2.270 -8.361 0.000
2.270 8.361 0.000
0.000 0.000 9.107
Zn Sn La
10 2 4
Direct
0.397 0.603 0.250 Zn
0.815 0.185 0.390 Zn
0.185 0.815 0.890 Zn
0.343 0.657 0.513 Zn
0.185 0.815 0.610 Zn
0.657 0.343 0.013 Zn
0.603 0.397 0.750 Zn
0.343 0.657 0.987 Zn
0.815 0.185 0.110 Zn
0.657 0.343 0.487 Zn
0.557 0.443 0.250 Sn
0.443 0.557 0.750 Sn
0.000 0.000 0.000 La
0.208 0.792 0.250 La
0.000 0.000 0.500 La
0.792 0.208 0.750 La
```

Computed properties:
Its space group is Cmcm (63).


| no. | total energy (eV per cell) | spin magnetization (μB per formula unit) | DFT formation energy (eV per formula unit) |
| --- | --- | --- | --- |
| 1 | -388.09 | 6.00 | -16.5 |
| 2 | -265.87 | 0.00 | -4.1 |